*A*
Below is a relaxed LiMn2O4 crystal, with properties calculated at the GGA+U level.

Geometry as POSCAR:
```
LiMn2O4
1.0
2.988 0.000 0.000
0.000 5.062 0.000
0.000 1.634 5.014
Li Mn O
1 2 4
Cartesian
0.000 0.000 0.000
0.000 3.348 2.507
1.494 0.817 2.507
0.000 1.652 1.546
1.494 4.331 1.395
0.000 5.044 3.469
1.494 2.366 3.619
```

***

*B*
Below is a relaxed LiMn2O4 crystal, with properties calculated at the GGA+U level.

Geometry as POSCAR:
```
LiMn2O4
1.0
-6.049 0.000 0.000
-0.071 -8.225 0.000
2.565 4.091 9.024
Li Mn O
6 12 24
Cartesian
-3.501 3.073 7.550
-3.207 -5.154 1.547
-0.059 -7.216 1.479
-3.217 -3.075 4.472
-0.380 1.015 7.501
-0.315 -1.023 4.531
-4.611 -2.062 1.494
-0.469 4.086 9.021
-1.986 -2.081 7.573
-0.157 -4.120 2.997
1.038 -2.066 7.569
-0.064 -4.131 0.026
-4.829 -6.176 4.503
-1.589 -2.052 1.464
-3.388 0.004 6.029
-1.802 -6.177 4.478
-0.388 -4.106 6.003
-3.155 -0.001 3.009
-3.441 1.956 5.907
1.186 -0.151 7.685
-2.934 -1.934 0.074
-0.636 -2.216 8.967
-4.705 0.120 4.567
-1.660 -0.139 1.364
-1.547 -4.208 4.393
-0.085 -2.182 0.190
-1.427 -4.035 1.472
-3.336 -6.251 3.219
-0.267 -2.181 2.875
-0.220 2.158 5.786
-3.072 -2.000 2.745
-1.901 -4.005 7.637
-3.470 -1.970 8.878
-0.509 -2.137 6.273
1.142 -4.212 4.398
-0.094 -6.037 3.075
-2.159 -0.105 7.650
0.808 -4.015 7.580
-4.858 -4.014 1.542
-4.372 -0.118 1.444
-3.313 -1.964 6.175
-1.876 0.126 4.438
```

***

*C*
Below is a relaxed LiMn2O4 crystal, with properties calculated at the GGA+U level.

Geometry as POSCAR:
```
LiMn2O4
1.0
-3.244 7.683 -2.337
-9.821 -1.862 -8.504
-9.697 3.302 8.281
Li Mn O
18 36 72
Cartesian
-14.002 6.062 -4.744
-9.637 2.406 -6.784
-18.537 2.896 -0.718
-4.223 6.240 -1.843
-17.540 6.973 -4.995
-8.864 1.320 -3.409
-9.610 5.824 4.405
-7.724 7.088 -2.097
-13.124 6.725 4.222
-13.902 7.814 0.851
-13.150 3.312 -6.963
-5.320 0.426 -3.107
-9.614 4.158 -1.197
-8.761 3.067 2.193
-17.439 8.710 0.547
-13.151 4.976 -1.357
-15.038 2.043 -0.459
-5.226 2.161 2.443
-10.778 7.410 -0.678
-12.986 10.103 3.156
-11.951 0.828 -4.679
-8.716 4.761 -4.475
-2.208 0.940 -1.745
-11.929 -0.036 -7.495
-11.444 3.712 -4.079
-11.995 1.726 -1.877
-6.476 4.669 0.144
-11.894 3.443 3.702
-9.775 -0.969 -5.713
-20.549 8.200 -0.819
-8.619 6.503 1.115
-14.045 4.375 1.912
-6.549 3.808 -2.604
-6.040 5.821 -4.740
-14.144 2.627 -3.662
-9.760 0.722 -0.113
-10.881 6.528 -3.429
-15.753 7.397 -2.080
-4.343 2.776 -0.776
-7.008 1.735 -0.478
-16.284 4.465 -2.701
-6.537 2.915 -5.421
-18.417 6.360 -1.781
-11.443 1.987 -9.671
-16.288 3.635 -5.530
-16.217 5.328 0.046
-11.882 2.601 0.878
-7.006 3.444 5.104
-10.860 5.688 -6.263
-16.719 3.310 2.176
-15.759 5.691 -7.656
-10.816 8.305 2.124
-11.325 5.424 1.521
-10.830 9.166 4.934
-5.234 4.615 -1.326
-2.837 3.534 0.361
-12.022 4.869 -7.554
-10.710 0.819 -6.301
-15.401 4.204 3.269
-17.994 2.293 1.107
-12.042 8.305 3.734
-7.297 7.393 2.200
-11.951 7.390 0.867
-19.812 6.405 -0.395
-7.697 3.677 -1.071
-9.630 6.461 -4.956
-5.306 5.775 1.393
-9.670 9.316 3.349
-21.783 7.311 -2.012
-4.760 6.842 -3.674
-15.067 5.465 -1.489
-8.375 0.611 -1.517
-14.390 8.510 -1.044
-0.977 1.823 -0.548
-3.400 -0.076 -2.904
-9.655 7.443 -2.242
-7.250 6.630 -0.237
-7.877 3.059 -3.975
-12.007 6.525 -1.869
-2.947 2.733 -2.164
-9.959 6.356 2.509
-17.088 6.393 -3.163
-14.458 5.932 -9.122
-14.896 6.075 1.411
-10.824 1.759 -3.428
-14.997 4.341 -4.184
-12.715 5.242 2.980
-10.039 3.907 -5.561
-12.767 3.397 -2.517
-5.409 4.020 -4.192
-17.359 5.111 1.632
-13.110 1.678 -0.306
-7.361 4.932 -5.830
-15.516 2.504 -2.313
-8.303 3.198 6.571
-10.734 4.272 4.993
-3.367 0.979 -0.199
-7.759 4.791 1.630
-19.349 9.215 0.325
-15.379 3.511 0.807
-14.499 7.684 -3.566
-14.455 6.592 -6.590
-13.293 0.958 -3.116
-10.107 4.729 -3.074
-12.803 2.774 -5.059
-8.363 -0.143 -4.702
-13.133 2.674 2.400
-12.089 5.625 -4.598
-10.758 2.605 -0.686
-14.393 9.265 2.148
-8.268 1.447 1.004
-17.018 7.193 -0.652
-10.012 5.732 -0.022
-15.467 1.740 -4.752
-13.091 -0.182 -5.907
-19.391 8.151 -2.364
-9.482 8.178 0.573
-5.670 2.748 0.610
-17.526 4.522 -1.230
-7.385 5.628 -3.372
-12.655 4.397 0.513
-5.741 1.940 -1.903
-17.450 3.364 -3.948
-8.318 2.552 4.043
-10.676 3.491 2.056
-19.922 5.598 -2.918
```

***

Stability check: which of them is least stable? *A*.

***

*A*
Below is a relaxed ZnCo2O5 crystal, with properties calculated at the GGA+U level.

Geometry as POSCAR:
```
ZnCo2O5
1.0
-2.119 -2.373 0.435
2.391 -1.390 4.008
-6.481 6.955 6.375
Zn Co O
2 4 10
Cartesian
-1.073 -1.284 5.499
-5.122 4.462 5.302
-0.176 -0.472 2.436
-6.029 3.660 8.382
-4.100 1.590 6.475
-2.120 1.610 4.349
-5.463 2.866 6.762
-0.746 0.331 4.066
-0.529 -2.200 3.207
-5.676 5.384 7.605
-2.934 0.390 5.594
-3.293 2.821 5.230
-2.660 1.790 2.745
-3.547 1.400 8.077
-4.937 2.900 9.454
-1.264 0.290 1.359
```

***

*B*
Below is a relaxed ZnCo2O5 crystal, with properties calculated at the GGA+U level.

Geometry as POSCAR:
```
ZnCo2O5
1.0
1.790 -5.055 0.000
1.790 5.055 0.000
0.000 0.000 11.460
Zn Co O
2 4 10
Cartesian
1.790 4.067 8.595
1.790 -4.067 2.865
1.790 -2.956 6.869
1.790 2.956 4.591
1.790 2.956 1.139
1.790 -2.956 10.321
1.790 2.018 2.865
1.790 -2.018 8.595
1.790 -2.693 0.886
1.790 2.693 10.574
1.790 2.693 6.616
1.790 -2.693 4.844
1.790 -4.613 7.225
1.790 4.613 4.235
1.790 -4.613 9.965
1.790 4.613 1.495
```

***

Stability check: which of them is least stable? *A*.

***

*A*
Below is a relaxed NaCo3O6 crystal, with properties calculated at the GGA+U level.

Geometry as POSCAR:
```
NaCo3O6
1.0
4.828 -2.507 0.000
4.828 2.507 0.000
3.526 0.000 4.142
Na Co O
1 3 6
Cartesian
2.560 0.000 0.804
12.900 0.000 4.053
6.044 0.000 1.899
8.690 0.000 2.730
4.737 0.775 3.033
7.481 1.440 2.686
5.601 0.889 0.284
7.251 -0.997 3.418
5.198 -1.664 1.564
7.998 -0.443 1.039
```

***

*B*
Below is a relaxed NaCo3O6 crystal, with properties calculated at the GGA+U level.

Geometry as POSCAR:
```
NaCo3O6
1.0
-4.279 2.467 0.016
-1.437 -4.096 5.707
2.833 3.291 5.706
Na Co O
2 6 12
Cartesian
-0.002 1.641 2.843
-1.459 2.480 8.586
1.416 0.840 5.706
-2.884 -1.671 5.715
-4.287 0.840 5.723
-0.020 3.293 5.714
-1.435 0.840 5.715
2.829 3.286 5.706
-4.378 -0.729 6.734
-0.014 1.649 6.674
-1.446 2.474 4.755
-1.323 -2.485 4.694
-1.450 0.748 1.000
-2.834 1.680 6.692
-1.369 -0.782 6.688
-1.454 4.074 6.690
1.376 2.443 4.738
-2.874 0.083 4.743
-0.007 0.051 4.737
-1.514 0.783 10.429
```

***

Stability check: which of them is least stable? *A*.

***

*A*
Below is a relaxed LiV6O7F5 crystal, with properties calculated at the GGA+U level.

Geometry as POSCAR:
```
LiV6O7F5
1.0
-5.086 2.427 -3.430
1.112 -4.766 -5.021
-5.701 -5.935 4.255
Li V O F
2 12 14 10
Cartesian
-4.410 -3.377 -5.238
-7.706 -3.732 -0.602
-4.933 2.354 -3.326
-5.428 -1.737 0.389
-6.194 -8.258 -2.973
-1.933 -1.935 1.327
-5.756 -5.256 -1.453
-3.860 -3.046 -2.701
-1.884 -1.219 -4.156
-0.478 -3.491 -1.955
-2.300 -5.348 -0.386
-3.458 -0.027 -1.206
-4.267 -7.135 1.085
-2.793 -8.700 -2.184
-6.286 -6.966 -4.596
-3.443 1.643 -2.322
-4.262 -7.906 -3.191
-5.409 -2.468 -3.911
-7.346 -4.336 -2.360
-6.553 -7.016 -1.580
-5.101 -2.460 -6.767
-3.113 -1.262 -2.609
-2.425 -3.914 -1.767
-4.244 -5.795 -0.401
-0.406 -1.924 -3.159
-5.510 -0.296 -1.028
-3.468 -1.296 0.308
-9.582 -3.425 -0.804
-8.967 -6.325 -3.845
-1.449 0.691 -0.977
-3.500 -0.447 -5.245
-2.713 -3.134 -4.508
-4.617 -5.011 -3.151
-5.777 0.470 -3.768
-1.974 -6.789 -1.935
-5.145 -3.221 -1.102
-6.938 -5.152 0.329
-2.663 -3.889 1.138
```

***

*B*
Below is a relaxed LiV6O7F5 crystal, with properties calculated at the GGA+U level.

Geometry as POSCAR:
```
LiV6O7F5
1.0
-4.143 -2.589 -2.931
2.073 -1.260 -5.177
1.537 -7.340 -0.278
Li V O F
1 6 7 5
Cartesian
-2.115 -7.147 -5.190
0.072 -8.753 -5.697
0.089 -6.475 -2.984
-0.755 -4.892 -5.492
0.760 -3.561 -0.218
-0.342 -2.346 -2.605
3.496 -8.586 -5.371
1.002 -7.951 -2.063
-0.291 -6.897 -4.868
-1.647 -6.640 -2.288
1.058 -4.587 -6.164
-2.629 -5.399 -4.774
-1.513 -3.213 -6.247
0.195 -1.676 -4.423
2.127 -5.796 -3.611
0.843 -5.496 -1.113
-1.409 -5.627 -7.336
-0.211 -4.384 -3.548
-2.268 -2.197 -3.570
```

***

Stability check: which of them is least stable? *B*.

***

*A*
Below is a relaxed NaMn3V4O12 crystal, with properties calculated at the GGA+U level.

Geometry as POSCAR:
```
NaMn3V4O12
1.0
-3.742 3.770 -3.742
3.769 -3.744 -3.743
-3.716 -3.718 -3.716
Na Mn V O
1 3 4 12
Cartesian
-3.716 -3.718 -3.716
-3.729 0.026 -3.729
0.013 0.013 -3.742
-3.716 0.039 -7.470
-1.831 -1.833 -9.342
-1.831 -5.590 -5.587
-1.845 -1.846 -5.600
-5.587 -1.833 -5.587
-0.005 -5.175 -6.065
-3.706 -1.407 -5.105
0.017 -2.285 -6.095
-3.684 1.484 -5.134
-2.297 -3.749 -8.914
-1.362 0.036 -5.173
-2.327 -3.728 -6.027
-1.392 0.058 -2.286
-1.431 -2.324 -3.775
-5.149 -1.337 -7.448
1.460 -2.354 -3.752
-2.258 -1.368 -7.425
```

***

*B*
Below is a relaxed NaMn3V4O12 crystal, with properties calculated at the GGA+U level.

Geometry as POSCAR:
```
NaMn3V4O12
1.0
-3.773 -3.752 3.743
-3.745 3.752 -3.715
3.773 -3.751 -3.741
Na Mn V O
1 3 4 12
Cartesian
0.028 0.001 -7.456
-0.003 -3.752 0.001
0.014 -0.001 -3.728
-3.759 0.000 0.011
-1.859 1.876 -5.585
1.886 -5.627 -1.869
-5.645 -1.876 1.885
-1.873 -1.876 -1.857
-3.788 -1.400 -2.345
0.041 -5.158 -1.361
-3.787 1.407 -2.351
0.042 -2.351 -1.368
-2.376 -3.759 -1.386
-1.345 -0.004 -5.149
-2.399 -3.747 1.435
-1.368 0.007 -2.327
-1.431 -2.398 -3.763
-5.188 -1.359 -0.032
1.443 -2.392 -3.682
-2.314 -1.352 0.050
```

***

Stability check: which of them is least stable? *A*.